Entry 1:
Li3Fe2P7O21 (PBE with a Hubbard U, optimized geometry); V = 839 Å³/cell; calculated density = 2.714 Mg/m³; space group = P-1 (2); E = -6.90 eV/atom
1.0
6.854 0.000 0.000
2.879 6.525 0.000
3.406 -0.750 18.753
Li Fe P O
6 4 14 42
Direct
0.056 0.243 0.073
0.245 0.795 0.256
0.338 0.142 0.620
0.662 0.858 0.380
0.755 0.205 0.744
0.944 0.757 0.927
0.105 0.186 0.883
0.123 0.140 0.374
0.877 0.860 0.626
0.895 0.814 0.117
0.035 0.463 0.250
0.145 0.832 0.769
0.203 0.727 0.465
0.309 0.776 0.998
0.409 0.426 0.900
0.458 0.112 0.222
0.482 0.694 0.569
0.518 0.306 0.431
0.542 0.888 0.778
0.591 0.574 0.100
0.691 0.224 0.002
0.797 0.273 0.535
0.855 0.168 0.231
0.965 0.537 0.750
0.000 0.201 0.479
0.000 0.799 0.521
0.015 0.329 0.780
0.040 0.959 0.710
0.046 0.917 0.845
0.067 0.435 0.326
0.152 0.606 0.764
0.162 0.687 0.041
0.174 0.459 0.904
0.191 0.819 0.393
0.222 0.002 0.986
0.250 0.297 0.199
0.278 0.483 0.457
0.336 0.614 0.614
0.384 0.006 0.285
0.402 0.756 0.491
0.403 0.775 0.753
0.407 0.647 0.923
0.422 0.018 0.844
0.429 0.653 0.166
0.476 0.127 0.408
0.478 0.284 0.968
0.522 0.716 0.032
0.524 0.873 0.592
0.571 0.347 0.834
0.578 0.982 0.156
0.593 0.353 0.077
0.597 0.225 0.247
0.598 0.244 0.509
0.616 0.994 0.715
0.664 0.386 0.386
0.722 0.517 0.543
0.750 0.703 0.801
0.778 0.998 0.014
0.809 0.181 0.607
0.826 0.541 0.096
0.838 0.313 0.959
0.848 0.394 0.236
0.933 0.565 0.674
0.954 0.083 0.155
0.960 0.041 0.290
0.985 0.671 0.220


Entry 2:
Mn2PO5 (PBE with a Hubbard U, optimized geometry); V = 352 Å³/cell; calculated density = 4.171 Mg/m³; space group = P2_1/c (14); E = -7.57 eV/atom; ΔE to the lowest computed polymorph = 0.0585 eV/atom
1.0
8.706 0.000 0.000
0.000 6.429 0.000
-1.461 0.000 6.283
Mn P O
8 4 20
Direct
0.009 0.147 0.220
0.009 0.353 0.720
0.345 0.118 0.010
0.345 0.382 0.510
0.655 0.618 0.490
0.655 0.882 0.990
0.991 0.647 0.280
0.991 0.853 0.780
0.291 0.589 0.006
0.291 0.911 0.506
0.709 0.089 0.494
0.709 0.411 0.994
0.096 0.109 0.879
0.096 0.391 0.379
0.125 0.664 0.036
0.125 0.836 0.536
0.246 0.037 0.290
0.246 0.463 0.790
0.365 0.074 0.675
0.365 0.426 0.175
0.395 0.721 0.495
0.395 0.779 0.995
0.605 0.221 0.005
0.605 0.279 0.505
0.635 0.574 0.825
0.635 0.926 0.325
0.754 0.537 0.210
0.754 0.963 0.710
0.875 0.164 0.464
0.875 0.336 0.964
0.904 0.609 0.621
0.904 0.891 0.121


Entry 3:
Cs2CoAgF6 (PBE with a Hubbard U, optimized geometry); V = 179 Å³/cell; calculated density = 5.071 Mg/m³; space group = Fm-3m (225); E = -4.21 eV/atom
1.0
0.000 4.473 4.473
4.473 0.000 4.473
4.473 4.473 0.000
Cs Co Ag F
2 1 1 6
Direct
0.250 0.250 0.250
0.750 0.750 0.750
0.000 0.000 0.000
0.500 0.500 0.500
0.220 0.220 0.780
0.220 0.780 0.220
0.220 0.780 0.780
0.780 0.220 0.220
0.780 0.220 0.780
0.780 0.780 0.220


Entry 4:
Li3Mn4P6O24 (PBE with a Hubbard U, optimized geometry); V = 418 Å³/cell; calculated density = 3.216 Mg/m³; space group = P-1 (2); E = -6.98 eV/atom; ΔE to the lowest computed polymorph = 0.0420 eV/atom
1.0
6.291 0.000 0.000
-2.209 8.091 0.000
-2.502 -1.066 8.220
Li Mn P O
3 4 6 24
Direct
0.000 0.000 0.000
0.248 0.785 0.205
0.752 0.215 0.795
0.131 0.874 0.557
0.367 0.443 0.122
0.633 0.557 0.878
0.869 0.126 0.443
0.127 0.648 0.846
0.249 0.210 0.786
0.359 0.153 0.353
0.641 0.847 0.647
0.751 0.790 0.214
0.873 0.352 0.154
0.024 0.238 0.670
0.098 0.492 0.159
0.105 0.678 0.667
0.178 0.798 0.964
0.182 0.104 0.458
0.234 0.235 0.962
0.261 0.028 0.757
0.269 0.026 0.205
0.322 0.552 0.903
0.391 0.335 0.318
0.407 0.848 0.522
0.475 0.326 0.766
0.525 0.674 0.234
0.593 0.152 0.478
0.609 0.665 0.682
0.678 0.448 0.097
0.731 0.974 0.795
0.739 0.972 0.243
0.766 0.765 0.038
0.818 0.896 0.542
0.822 0.202 0.036
0.895 0.322 0.333
0.902 0.508 0.841
0.976 0.762 0.330


Entry 5:
Li4Ni3Sn5O16 (PBE with a Hubbard U, optimized geometry); V = 316 Å³/cell; calculated density = 5.538 Mg/m³; space group = P1 (1); E = -5.63 eV/atom
1.0
6.050 0.000 0.000
3.003 5.322 0.000
0.011 0.139 9.809
Li Ni Sn O
4 3 5 16
Direct
0.000 0.000 0.000
0.012 0.009 0.510
0.322 0.316 0.605
0.653 0.661 0.094
0.158 0.161 0.282
0.328 0.820 0.785
0.817 0.331 0.782
0.156 0.651 0.282
0.316 0.322 0.003
0.646 0.648 0.512
0.650 0.159 0.284
0.819 0.822 0.783
0.012 0.981 0.693
0.020 0.477 0.152
0.147 0.158 0.893
0.148 0.671 0.904
0.314 0.822 0.402
0.322 0.324 0.397
0.474 0.476 0.152
0.475 0.025 0.151
0.507 0.952 0.653
0.510 0.499 0.666
0.634 0.667 0.888
0.669 0.160 0.898
0.823 0.316 0.403
0.827 0.826 0.407
0.951 0.495 0.660
0.989 0.992 0.185


Entry 6:
Li2MnF4 (PBE with a Hubbard U, optimized geometry); V = 596 Å³/cell; calculated density = 2.421 Mg/m³; space group = R-3 (148); E = -5.46 eV/atom; ΔE to the lowest computed polymorph = 0.0401 eV/atom
1.0
7.254 4.188 3.269
-7.254 4.188 3.269
0.000 -8.376 3.269
Li Mn F
12 6 24
Direct
0.136 0.275 0.855
0.145 0.864 0.725
0.207 0.443 0.582
0.275 0.855 0.136
0.418 0.793 0.557
0.443 0.582 0.207
0.557 0.418 0.793
0.582 0.207 0.443
0.725 0.145 0.864
0.793 0.557 0.418
0.855 0.136 0.275
0.864 0.725 0.145
0.053 0.490 0.206
0.206 0.053 0.490
0.490 0.206 0.053
0.510 0.794 0.947
0.794 0.947 0.510
0.947 0.510 0.794
0.037 0.346 0.346
0.039 0.683 0.055
0.055 0.039 0.683
0.111 0.415 0.740
0.260 0.889 0.585
0.310 0.621 0.328
0.317 0.945 0.961
0.328 0.310 0.621
0.346 0.037 0.346
0.346 0.346 0.037
0.379 0.672 0.690
0.415 0.740 0.111
0.585 0.260 0.889
0.621 0.328 0.310
0.654 0.654 0.963
0.654 0.963 0.654
0.672 0.690 0.379
0.683 0.055 0.039
0.690 0.379 0.672
0.740 0.111 0.415
0.889 0.585 0.260
0.945 0.961 0.317
0.961 0.317 0.945
0.963 0.654 0.654


Entry 7:
Ba2Y2MgFe4O10 (PBE with a Hubbard U, optimized geometry); V = 289 Å³/cell; calculated density = 4.947 Mg/m³; space group = P1 (1); E = -6.94 eV/atom; ΔE to the lowest computed polymorph = 0.0430 eV/atom
1.0
3.900 0.000 0.000
0.000 7.787 0.000
-1.756 -0.007 9.507
Ba Y Mg Fe O
2 2 1 4 10
Direct
0.000 0.000 0.000
0.207 0.021 0.512
0.001 0.519 0.048
0.812 0.511 0.659
0.191 0.514 0.409
0.395 0.763 0.812
0.402 0.272 0.830
0.591 0.250 0.243
0.596 0.781 0.247
0.100 0.328 0.264
0.102 0.697 0.263
0.279 0.351 0.583
0.280 0.681 0.586
0.422 0.013 0.806
0.501 0.344 0.046
0.502 0.720 0.043
0.623 0.016 0.330
0.909 0.330 0.836
0.912 0.683 0.839


Entry 8:
Li2MnSiCO7 (PBE with a Hubbard U, optimized geometry); V = 538 Å³/cell; calculated density = 2.726 Mg/m³; E = -6.97 eV/atom
1.0
0.234 6.318 5.057
0.234 -6.318 5.058
8.197 0.000 -4.864
O Li Si C Mn
28 8 4 4 4
Direct
0.797 0.344 0.318
0.178 0.428 0.910
0.086 0.836 0.886
0.906 0.953 0.682
0.347 0.096 0.601
0.773 0.523 0.832
0.094 0.047 0.319
0.822 0.572 0.090
0.322 0.072 0.090
0.727 0.977 0.168
0.406 0.453 0.682
0.450 0.701 0.542
0.847 0.597 0.601
0.653 0.903 0.399
0.050 0.800 0.458
0.550 0.299 0.458
0.678 0.928 0.910
0.594 0.547 0.318
0.703 0.156 0.682
0.153 0.404 0.399
0.203 0.656 0.682
0.950 0.201 0.542
0.297 0.844 0.318
0.414 0.664 0.114
0.227 0.477 0.168
0.914 0.164 0.114
0.586 0.336 0.886
0.273 0.023 0.832
0.526 0.022 0.764
0.228 0.224 0.236
0.772 0.776 0.764
0.026 0.522 0.764
0.728 0.724 0.236
0.272 0.276 0.764
0.474 0.978 0.236
0.974 0.478 0.236
0.196 0.946 0.425
0.304 0.554 0.575
0.697 0.447 0.425
0.803 0.053 0.575
0.732 0.482 0.944
0.768 0.018 0.056
0.232 0.982 0.944
0.268 0.518 0.056
0.445 0.695 0.340
0.945 0.196 0.340
0.555 0.304 0.660
0.055 0.805 0.660